(1)
An optimized crystal structure of SmCuPb, computed with r²SCAN.

Structure (CIF):
```
data_SmCuPb
_space_group_name_H-M_alt 'P 63 m c'
_space_group_IT_number 186
_space_group_name_Hall 'P 6c -2c'
_cell_length_a 4.6276
_cell_length_b 4.6276
_cell_length_c 7.5442
_cell_angle_alpha 90.00
_cell_angle_beta 90.00
_cell_angle_gamma 120.00
loop_
_atom_site_label
_atom_site_type_symbol
_atom_site_fract_x
_atom_site_fract_y
_atom_site_fract_z
Sm1 Sm 0.0000 0.0000 0.0000
Cu1 Cu 0.3333 0.6667 0.3234
Pb1 Pb 0.3333 0.6667 0.7304
```

Properties
E_form: -0.5208 eV per atom
volume: 23.32 Å³ per atom

***

(2)
An optimized crystal structure of TbCuPb, computed with r²SCAN.

Structure (CIF):
```
data_TbCuPb
_space_group_name_H-M_alt 'P 63 m c'
_space_group_IT_number 186
_space_group_name_Hall 'P 6c -2c'
_cell_length_a 4.5801
_cell_length_b 4.5801
_cell_length_c 7.4053
_cell_angle_alpha 90.00
_cell_angle_beta 90.00
_cell_angle_gamma 120.00
loop_
_atom_site_label
_atom_site_type_symbol
_atom_site_fract_x
_atom_site_fract_y
_atom_site_fract_z
Tb1 Tb 0.0000 0.0000 0.0000
Cu1 Cu 0.3333 0.6667 0.3284
Pb1 Pb 0.3333 0.6667 0.7300
```

Properties
E_form: -0.5173 eV per atom
volume: 22.42 Å³ per atom